# 1
First-principles (GGA-PBE) data for crystalline Al2P3H12N3O12 at its relaxed geometry, as listed in Materials Project.

Output
Energy in eV/atom: -6.21
Energy with MP2020 corrections in eV/atom: -6.469
M_tot in μB/f.u.: 0.00
ΔH_f (0 K) in eV/atom: -1.818

Cell and atoms, written as CIF:
```
data_Al2P3H12N3O12
_chemical_formula_sum 'Al8 P12 H48 N12 O48'
_space_group_name_H-M_alt 'C 1 2/c 1'
_space_group_IT_number 15
_cell_length_a 13.4210
_cell_length_b 10.3916
_cell_length_c 8.9579
_cell_angle_alpha 90.00
_cell_angle_beta 111.35
_cell_angle_gamma 90.00
loop_
_space_group_symop_operation_xyz
'x,y,z'
'-x,-y,-z'
'-x,y,-z+1/2'
'x,-y,z+1/2'
'x+1/2,y+1/2,z'
'-x+1/2,-y+1/2,-z'
'-x+1/2,y+1/2,-z+1/2'
'x+1/2,-y+1/2,z+1/2'
loop_
_atom_site_label
_atom_site_fract_x
_atom_site_fract_y
_atom_site_fract_z
Al1 0.1683 0.0781 0.0835
P1 0.0000 0.0061 0.2500
P2 0.2058 0.3765 0.1563
H1 0.0274 0.3242 0.4305
H2 0.0475 0.3452 0.8426
H3 0.0470 0.4640 0.7091
H4 0.1161 0.2403 0.3739
H5 0.1329 0.2392 0.5677
H6 0.1559 0.3774 0.4851
N1 0.0000 0.4013 0.7500
N2 0.1086 0.2957 0.4659
O1 0.0564 0.0838 0.8950
O2 0.0795 0.0957 0.2108
O3 0.0894 0.4046 0.1352
O4 0.2156 0.0756 0.6778
O5 0.2292 0.2300 0.1609
O6 0.2292 0.4444 0.0184
```

***

# 2
First-principles (GGA-PBE) data for crystalline NaAlH4 at its relaxed geometry, as listed in Materials Project.

Output
Energy in eV/atom: -3.22
Energy with MP2020 corrections in eV/atom: -3.334
M_tot in μB/f.u.: 0.00
ΔH_f (0 K) in eV/atom: -0.228

Cell and atoms, written as CIF:
```
data_NaAlH4
_chemical_formula_sum 'Na4 Al4 H16'
_space_group_name_H-M_alt 'C m c 21'
_space_group_IT_number 36
_cell_length_a 3.5392
_cell_length_b 13.9283
_cell_length_c 5.0874
_cell_angle_alpha 90.00
_cell_angle_beta 90.00
_cell_angle_gamma 90.00
loop_
_space_group_symop_operation_xyz
'x,y,z'
'-x,-y,z+1/2'
'-x,y,z'
'x,-y,z+1/2'
'x+1/2,y+1/2,z'
'-x+1/2,-y+1/2,z+1/2'
'-x+1/2,y+1/2,z'
'x+1/2,-y+1/2,z+1/2'
loop_
_atom_site_label
_atom_site_fract_x
_atom_site_fract_y
_atom_site_fract_z
Na1 0.0000 0.1731 0.0000
Al1 0.0000 0.4147 0.9710
H1 0.0000 0.0763 0.4506
H2 0.0000 0.3163 0.7746
H3 0.0000 0.3482 0.2429
H4 0.0000 0.4784 0.6509
```

***

# 3
First-principles (GGA-PBE) data for crystalline NaAlH4 at its relaxed geometry, as listed in Materials Project.

Output
Energy in eV/atom: -3.24
Energy with MP2020 corrections in eV/atom: -3.356
ΔH_f (0 K) in eV/atom: -0.250

Cell and atoms, written as CIF:
```
data_NaAlH4
_chemical_formula_sum 'Na4 Al4 H16'
_space_group_name_H-M_alt 'I 41/a'
_space_group_IT_number 88
_cell_length_a 4.9841
_cell_length_b 4.9841
_cell_length_c 11.0919
_cell_angle_alpha 90.00
_cell_angle_beta 90.00
_cell_angle_gamma 90.00
loop_
_space_group_symop_operation_xyz
'x,y,z'
'-x,-y,-z'
'-y+3/4,x+1/4,z+1/4'
'y+3/4,-x+1/4,-z+1/4'
'-x+1/2,-y,z+1/2'
'x+1/2,y,-z+1/2'
'y+3/4,-x+3/4,z+3/4'
'-y+3/4,x+3/4,-z+3/4'
'x+1/2,y+1/2,z+1/2'
'-x+1/2,-y+1/2,-z+1/2'
'-y+1/4,x+3/4,z+3/4'
'y+1/4,-x+3/4,-z+3/4'
'-x,-y+1/2,z'
'x,y+1/2,-z'
'y+1/4,-x+1/4,z+1/4'
'-y+1/4,x+1/4,-z+1/4'
loop_
_atom_site_label
_atom_site_fract_x
_atom_site_fract_y
_atom_site_fract_z
Na1 0.0000 0.2500 0.1250
Al1 0.0000 0.2500 0.6250
H1 0.1425 0.0141 0.7060
```

***

# 4
First-principles (GGA-PBE) data for crystalline Na5Al3H14 at its relaxed geometry, as listed in Materials Project.

Output
Energy in eV/atom: -3.12
Energy with MP2020 corrections in eV/atom: -3.234
ΔH_f (0 K) in eV/atom: -0.264

Cell and atoms, written as CIF:
```
data_Na5Al3H14
_chemical_formula_sum 'Na10 Al6 H28'
_space_group_name_H-M_alt 'P 4/m n c'
_space_group_IT_number 128
_space_group_name_Hall '-P 4 2n'
_cell_length_a 6.7613
_cell_length_b 6.7613
_cell_length_c 10.3123
_cell_angle_alpha 90.00
_cell_angle_beta 90.00
_cell_angle_gamma 90.00
loop_
_atom_site_label
_atom_site_fract_x
_atom_site_fract_y
_atom_site_fract_z
Na1 0.0000 0.0000 0.0000
Na2 0.2150 0.2850 0.2500
Al1 0.0000 0.0000 0.5000
Al2 0.0000 0.5000 0.0000
H1 0.0000 0.0000 0.3302
H2 0.0420 0.6794 0.1177
H3 0.0730 0.2477 0.5000
```